1.
{
  "formula": "Li2VFeP4O14",
  "functional": "PBE+U",
  "state": "relaxed",
  "e_tot_ev_per_atom": -7.12,
  "m_tot_mub_per_cell": 14.0,
  "volume_a3_per_atom": 12.226,
  "cell": [[8.237, 0.000, 0.000], [0.000, 7.175, 0.000], [0.000, 3.576, 9.102]],
  "species": ["Li", "Li", "Li", "Li", "P", "P", "P", "P", "P", "P", "P", "P", "O", "O", "O", "O", "O", "O", "O", "O", "O", "O", "O", "O", "O", "O", "O", "O", "O", "O", "O", "O", "O", "O", "O", "O", "O", "O", "O", "O", "Fe", "Fe", "V", "V"],
  "frac_coords": [[0.863, 0.424, 0.249], [0.861, 0.927, 0.749], [0.361, 0.073, 0.251], [0.363, 0.576, 0.751], [0.680, 0.540, 0.939], [0.282, 0.851, 0.063], [0.782, 0.149, 0.937], [0.785, 0.652, 0.435], [0.180, 0.460, 0.061], [0.285, 0.348, 0.565], [0.681, 0.038, 0.439], [0.181, 0.962, 0.561], [0.693, 0.009, 0.876], [0.934, 0.744, 0.341], [0.678, 0.502, 0.103], [0.679, 0.003, 0.603], [0.193, 0.991, 0.124], [0.539, 0.165, 0.352], [0.823, 0.047, 0.099], [0.846, 0.121, 0.370], [0.844, 0.623, 0.870], [0.344, 0.377, 0.130], [0.825, 0.551, 0.598], [0.039, 0.835, 0.648], [0.698, 0.510, 0.375], [0.933, 0.239, 0.843], [0.152, 0.174, 0.579], [0.434, 0.256, 0.659], [0.652, 0.326, 0.921], [0.538, 0.666, 0.852], [0.198, 0.490, 0.625], [0.178, 0.498, 0.897], [0.346, 0.879, 0.630], [0.433, 0.761, 0.157], [0.038, 0.334, 0.148], [0.179, 0.997, 0.397], [0.652, 0.826, 0.421], [0.152, 0.674, 0.079], [0.325, 0.449, 0.402], [0.323, 0.953, 0.901], [0.000, 0.026, 0.242], [0.500, 0.974, 0.758], [0.000, 0.528, 0.743], [0.500, 0.472, 0.257]]
}

=====

2.
{
  "formula": "LiVFeP4O14",
  "functional": "PBE+U",
  "state": "relaxed",
  "e_tot_ev_per_atom": -7.18,
  "m_tot_mub_per_cell": 0.0,
  "volume_a3_per_atom": 12.659,
  "cell": [[-2.327, 0.727, 6.816], [3.254, -7.197, 1.962], [6.589, 4.529, 5.421]],
  "species": ["O", "O", "O", "O", "O", "O", "O", "O", "O", "O", "O", "O", "O", "O", "O", "O", "O", "O", "O", "O", "O", "O", "O", "O", "O", "O", "O", "O", "Fe", "Fe", "Li", "Li", "P", "P", "P", "P", "P", "P", "P", "P", "V", "V"],
  "frac_coords": [[0.449, 0.338, 0.407], [0.327, 0.060, 0.174], [0.980, 0.190, 0.123], [0.890, 0.366, 0.633], [0.343, 0.650, 0.918], [0.242, 0.439, 0.664], [0.480, 0.190, 0.623], [0.577, 0.833, 0.595], [0.996, 0.686, 0.616], [0.460, 0.180, 0.911], [0.020, 0.686, 0.882], [0.672, 0.159, 0.071], [0.173, 0.159, 0.571], [0.390, 0.366, 0.133], [0.949, 0.338, 0.907], [0.843, 0.650, 0.418], [0.960, 0.180, 0.411], [0.119, 0.856, 0.382], [0.748, 0.924, 0.328], [0.496, 0.686, 0.116], [0.077, 0.833, 0.095], [0.184, 0.547, 0.367], [0.248, 0.924, 0.828], [0.520, 0.686, 0.382], [0.742, 0.439, 0.164], [0.619, 0.856, 0.882], [0.684, 0.547, 0.867], [0.827, 0.060, 0.674], [0.524, 0.013, 0.748], [0.024, 0.013, 0.248], [0.421, 0.875, 0.263], [0.921, 0.875, 0.763], [0.451, 0.191, 0.069], [0.167, 0.782, 0.934], [0.841, 0.287, 0.070], [0.951, 0.191, 0.568], [0.667, 0.782, 0.434], [0.044, 0.687, 0.446], [0.341, 0.287, 0.570], [0.544, 0.687, 0.946], [0.965, 0.502, 0.765], [0.465, 0.502, 0.265]]
}

=====

3.
{
  "formula": "LiVFeP4O14",
  "functional": "PBE+U",
  "state": "relaxed",
  "e_tot_ev_per_atom": -7.18,
  "m_tot_mub_per_cell": 18.0,
  "volume_a3_per_atom": 12.524,
  "cell": [[-0.062, -6.168, -3.657], [2.916, -3.866, 6.490], [-12.669, -0.904, 5.126]],
  "species": ["Fe", "Fe", "Fe", "O", "O", "O", "O", "O", "O", "O", "O", "O", "O", "O", "O", "O", "O", "O", "O", "O", "O", "O", "O", "O", "O", "O", "O", "O", "O", "O", "O", "O", "O", "O", "O", "O", "O", "O", "O", "O", "O", "O", "O", "O", "O", "V", "V", "V", "P", "P", "P", "P", "P", "P", "P", "P", "P", "P", "P", "P", "Li", "Li", "Li"],
  "frac_coords": [[0.220, 0.006, 0.494], [0.563, 0.990, 0.828], [0.885, 0.005, 0.163], [0.299, 0.799, 0.414], [0.208, 0.816, 0.597], [0.696, 0.352, 0.947], [0.794, 0.336, 0.403], [0.232, 0.649, 0.752], [0.631, 0.849, 0.384], [0.095, 0.148, 0.586], [0.362, 0.321, 0.251], [0.032, 0.355, 0.282], [0.140, 0.070, 0.226], [0.281, 0.959, 0.766], [0.752, 0.660, 0.601], [0.420, 0.662, 0.267], [0.762, 0.149, 0.254], [0.462, 0.334, 0.069], [0.624, 0.960, 0.099], [0.130, 0.327, 0.738], [0.046, 0.460, 0.567], [0.370, 0.463, 0.902], [0.259, 0.179, 0.397], [0.195, 0.563, 0.107], [0.712, 0.460, 0.232], [0.084, 0.668, 0.935], [0.589, 0.174, 0.732], [0.962, 0.850, 0.716], [0.366, 0.354, 0.615], [0.298, 0.850, 0.052], [0.474, 0.069, 0.560], [0.967, 0.800, 0.083], [0.905, 0.652, 0.424], [0.028, 0.315, 0.914], [0.571, 0.652, 0.089], [0.538, 0.821, 0.931], [0.958, 0.960, 0.431], [0.420, 0.153, 0.915], [0.814, 0.068, 0.893], [0.528, 0.563, 0.440], [0.924, 0.181, 0.065], [0.696, 0.319, 0.586], [0.633, 0.806, 0.744], [0.868, 0.564, 0.772], [0.872, 0.814, 0.265], [0.444, 0.493, 0.170], [0.116, 0.505, 0.837], [0.775, 0.493, 0.504], [0.538, 0.218, 0.624], [0.869, 0.221, 0.956], [0.478, 0.322, 0.958], [0.815, 0.319, 0.293], [0.520, 0.823, 0.040], [0.149, 0.318, 0.626], [0.182, 0.819, 0.706], [0.796, 0.715, 0.709], [0.205, 0.219, 0.289], [0.853, 0.821, 0.374], [0.465, 0.715, 0.376], [0.133, 0.716, 0.044], [0.160, 0.136, 0.833], [0.173, 0.638, 0.501], [0.839, 0.639, 0.167]]
}

=====

4.
{
  "formula": "Li2VFeP4O14",
  "functional": "PBE+U",
  "state": "relaxed",
  "e_tot_ev_per_atom": -7.12,
  "m_tot_mub_per_cell": 21.0,
  "volume_a3_per_atom": 12.263,
  "cell": [[7.046, 0.000, 0.000], [-0.021, 8.268, 0.000], [-2.342, -0.013, 13.894]],
  "species": ["O", "O", "O", "O", "O", "O", "O", "O", "O", "O", "O", "O", "O", "O", "O", "O", "O", "O", "O", "O", "O", "O", "O", "O", "O", "O", "O", "O", "O", "O", "O", "O", "O", "O", "O", "O", "O", "O", "O", "O", "O", "O", "Li", "Li", "Li", "Li", "Li", "Li", "P", "P", "P", "P", "P", "P", "P", "P", "P", "P", "P", "P", "V", "V", "V", "Fe", "Fe", "Fe"],
  "frac_coords": [[0.420, 0.538, 0.938], [0.472, 0.178, 0.867], [0.861, 0.678, 0.466], [0.247, 0.038, 0.729], [0.826, 0.696, 0.712], [0.050, 0.933, 0.134], [0.527, 0.678, 0.133], [0.161, 0.695, 0.046], [0.950, 0.432, 0.867], [0.506, 0.195, 0.621], [0.574, 0.345, 0.083], [0.758, 0.843, 0.252], [0.505, 0.826, 0.650], [0.498, 0.325, 0.350], [0.088, 0.540, 0.605], [0.715, 0.932, 0.801], [0.381, 0.933, 0.468], [0.241, 0.343, 0.749], [0.112, 0.152, 0.865], [0.617, 0.433, 0.533], [0.446, 0.153, 0.199], [0.286, 0.433, 0.199], [0.838, 0.826, 0.984], [0.220, 0.653, 0.468], [0.161, 0.326, 0.017], [0.175, 0.197, 0.289], [0.491, 0.697, 0.378], [0.806, 0.178, 0.201], [0.140, 0.178, 0.534], [0.779, 0.153, 0.532], [0.912, 0.039, 0.396], [0.838, 0.194, 0.954], [0.169, 0.825, 0.317], [0.554, 0.652, 0.801], [0.580, 0.039, 0.062], [0.093, 0.846, 0.584], [0.888, 0.652, 0.135], [0.195, 0.678, 0.800], [0.754, 0.539, 0.271], [0.427, 0.845, 0.917], [0.909, 0.344, 0.415], [0.830, 0.325, 0.682], [0.718, 0.861, 0.392], [0.388, 0.861, 0.058], [0.948, 0.362, 0.274], [0.280, 0.361, 0.608], [0.613, 0.361, 0.941], [0.052, 0.862, 0.726], [0.985, 0.784, 0.072], [0.349, 0.284, 0.262], [0.722, 0.680, 0.200], [0.014, 0.283, 0.928], [0.681, 0.284, 0.595], [0.318, 0.784, 0.405], [0.390, 0.680, 0.867], [0.945, 0.181, 0.467], [0.652, 0.784, 0.738], [0.278, 0.180, 0.800], [0.610, 0.180, 0.133], [0.056, 0.681, 0.533], [0.990, 0.000, 0.262], [0.676, 0.500, 0.404], [0.010, 0.500, 0.738], [0.660, 0.000, 0.927], [0.328, 0.000, 0.595], [0.340, 0.500, 0.073]]
}

=====

5.
{
  "formula": "Li3VFeP4O14",
  "functional": "PBE+U",
  "state": "relaxed",
  "e_tot_ev_per_atom": -7.02,
  "m_tot_mub_per_cell": 0.0,
  "volume_a3_per_atom": 12.183,
  "cell": [[5.001, 0.012, 0.007], [2.336, 8.320, -6.673], [-2.320, 8.400, 6.725]],
  "species": ["V", "V", "O", "O", "O", "O", "O", "O", "O", "O", "O", "O", "O", "O", "O", "O", "O", "O", "O", "O", "O", "O", "O", "O", "O", "O", "O", "O", "O", "O", "Fe", "Fe", "Li", "Li", "Li", "Li", "Li", "Li", "P", "P", "P", "P", "P", "P", "P", "P"],
  "frac_coords": [[0.212, 0.890, 0.614], [0.213, 0.390, 0.115], [0.196, 0.270, 0.771], [0.601, 0.263, 0.173], [0.378, 0.933, 0.007], [0.162, 0.405, 0.290], [0.229, 0.412, 0.930], [0.231, 0.913, 0.428], [0.622, 0.210, 0.955], [0.810, 0.005, 0.531], [0.070, 0.727, 0.603], [0.385, 0.431, 0.508], [0.871, 0.044, 0.156], [0.426, 0.709, 0.952], [0.549, 0.409, 0.781], [0.069, 0.228, 0.102], [0.961, 0.335, 0.476], [0.863, 0.546, 0.657], [0.956, 0.837, 0.977], [0.755, 0.665, 0.174], [0.434, 0.208, 0.453], [0.390, 0.041, 0.633], [0.200, 0.768, 0.270], [0.155, 0.905, 0.790], [0.600, 0.769, 0.670], [0.762, 0.165, 0.675], [0.555, 0.907, 0.280], [0.621, 0.709, 0.455], [0.804, 0.507, 0.029], [0.383, 0.542, 0.131], [0.798, 0.855, 0.130], [0.797, 0.356, 0.631], [0.279, 0.033, 0.128], [0.178, 0.093, 0.761], [0.821, 0.506, 0.849], [0.274, 0.532, 0.628], [0.172, 0.595, 0.258], [0.824, 0.006, 0.348], [0.221, 0.350, 0.433], [0.392, 0.829, 0.353], [0.605, 0.101, 0.581], [0.788, 0.691, 0.602], [0.216, 0.852, 0.933], [0.391, 0.330, 0.854], [0.601, 0.601, 0.079], [0.790, 0.190, 0.103]]
}

=====

6.
{
  "formula": "LiVFeP4O14",
  "functional": "PBE+U",
  "state": "relaxed",
  "e_tot_ev_per_atom": -7.17,
  "m_tot_mub_per_cell": 6.0,
  "volume_a3_per_atom": 12.745,
  "cell": [[4.899, -0.028, 0.140], [-0.060, 8.174, -0.031], [-2.098, 0.008, 6.624]],
  "species": ["O", "O", "O", "O", "O", "O", "O", "O", "O", "O", "O", "O", "O", "O", "Fe", "P", "P", "P", "P", "Li", "V"],
  "frac_coords": [[0.953, 0.810, 0.167], [0.129, 0.662, 0.913], [0.423, 0.663, 0.642], [0.553, 0.147, 0.724], [0.975, 0.340, 0.810], [0.695, 0.868, 0.492], [0.247, 0.363, 0.509], [0.140, 0.058, 0.451], [0.836, 0.564, 0.515], [0.564, 0.197, 0.362], [0.847, 0.174, 0.079], [0.403, 0.914, 0.086], [0.404, 0.641, 0.270], [0.538, 0.409, 0.925], [0.769, 0.000, 0.264], [0.601, 0.692, 0.492], [0.213, 0.770, 0.101], [0.733, 0.270, 0.889], [0.366, 0.190, 0.498], [0.653, 0.413, 0.254], [0.194, 0.504, 0.724]]
}